1.
Compound: Al2InN3
Source: the Materials Project
Functional: r2SCAN
Structure: optimized geometry

The structure in POSCAR format:
```
Al2InN3
1.0
-4.106 -1.116 3.685
0.965 -3.519 -4.263
3.366 -2.648 2.948
Al In N
4 2 6
Cartesian
0.568 -2.864 1.287
-0.085 -5.524 -0.357
1.283 -5.700 2.508
1.936 -3.040 4.153
3.631 -3.745 1.536
2.291 -3.674 -1.456
3.729 -4.871 -0.319
1.225 -6.358 0.738
1.681 -3.854 2.467
-0.744 -3.990 0.528
1.657 -2.126 -0.071
-0.288 -1.486 2.257
```

## Properties
total moment: 0.000 μB per atom
formation energy: -1.154 eV/atom


2.
Compound: Pm2AlIn
Source: the Materials Project
Functional: r2SCAN
Structure: optimized geometry

The structure in POSCAR format:
```
Pm2AlIn
1.0
0.000 3.769 3.769
3.769 0.000 3.769
3.769 3.769 0.000
Pm In Al
2 1 1
Cartesian
5.653 5.653 5.653
1.884 1.884 1.884
0.000 0.000 0.000
3.769 3.769 3.769
```

## Properties
total moment: 0.000 μB per atom
formation energy: -0.507 eV/atom


3.
Compound: AlInS3
Source: the Materials Project
Functional: r2SCAN
Structure: optimized geometry

The structure in POSCAR format:
```
AlInS3
1.0
-1.283 6.058 -2.740
0.640 -0.613 6.712
17.644 3.104 -1.398
S Al In
18 6 6
Cartesian
1.636 2.131 -0.946
13.317 6.285 1.707
2.081 0.296 2.237
9.870 7.365 0.737
17.164 2.523 3.427
10.565 5.573 3.901
13.253 8.145 -1.550
17.023 6.270 3.370
2.060 4.107 2.213
3.994 4.845 -1.989
7.380 4.786 2.103
7.948 3.681 -1.428
4.767 2.454 0.782
13.834 3.849 4.497
5.836 0.771 3.959
16.332 4.943 -0.061
11.146 3.774 0.662
6.798 7.250 -1.405
17.005 5.064 -2.188
4.596 6.768 -1.022
11.091 5.761 1.700
2.524 2.193 1.142
14.897 2.219 3.398
8.371 4.958 4.098
15.849 8.816 -1.854
10.609 3.957 -1.770
1.995 3.818 4.692
8.520 1.029 3.845
13.764 4.257 0.222
4.721 4.553 2.234
```

## Properties
total moment: 0.000 μB per atom
formation energy: -1.002 eV/atom


4.
Compound: AlInSb2
Source: the Materials Project
Functional: r2SCAN
Structure: optimized geometry

The structure in POSCAR format:
```
AlInSb2
1.0
-2.673 2.218 -2.871
2.207 -1.835 -3.473
-4.056 -4.884 0.003
Al In Sb
1 1 2
Cartesian
0.000 0.000 0.000
-2.261 -2.251 -3.171
-4.446 -2.635 -1.433
0.157 -2.057 -1.736
```

## Properties
total moment: 0.000 μB per atom
formation energy: -0.237 eV/atom


5.
Compound: Sr2AlIn3
Source: the Materials Project
Functional: r2SCAN
Structure: optimized geometry

The structure in POSCAR format:
```
Sr2AlIn3
1.0
2.483 -4.301 0.000
2.483 4.301 0.000
0.000 0.000 8.057
Sr Al In
2 1 3
Cartesian
0.000 0.000 2.025
0.000 0.000 6.013
2.483 1.434 4.414
2.483 -1.434 3.728
2.483 1.434 7.628
2.483 -1.434 0.363
```

## Properties
total moment: 0.000 μB per atom
formation energy: -0.511 eV/atom


6.
Compound: Al9Ir2
Source: the Materials Project
Functional: r2SCAN
Structure: optimized geometry

The structure in POSCAR format:
```
Al9Ir2
1.0
-5.776 2.279 1.331
0.670 -1.877 6.117
4.194 7.400 1.811
Al Ir
18 4
Cartesian
-0.247 8.161 5.212
-2.540 5.011 2.517
-0.530 1.094 7.024
-2.987 -0.105 5.754
0.000 0.000 0.000
-2.172 2.145 4.143
2.432 2.761 3.964
-0.382 6.709 2.235
1.259 5.657 5.116
2.074 7.907 3.505
-1.478 6.438 6.973
2.616 5.196 2.761
1.628 2.792 6.743
-0.665 -0.359 4.047
0.053 3.994 3.296
-0.966 3.808 5.964
0.566 1.364 2.286
-3.528 2.606 6.498
2.550 5.105 7.219
0.283 1.881 4.763
-1.196 5.921 4.496
-3.462 2.697 2.041
```

## Properties
total moment: 0.000 μB per atom
formation energy: -0.566 eV/atom


What did the fifth record say?
Compound: Sr2AlIn3
Source: the Materials Project
Functional: r2SCAN
Structure: optimized geometry

The structure in POSCAR format:
```
Sr2AlIn3
1.0
2.483 -4.301 0.000
2.483 4.301 0.000
0.000 0.000 8.057
Sr Al In
2 1 3
Cartesian
0.000 0.000 2.025
0.000 0.000 6.013
2.483 1.434 4.414
2.483 -1.434 3.728
2.483 1.434 7.628
2.483 -1.434 0.363
```

## Properties
total moment: 0.000 μB per atom
formation energy: -0.511 eV/atom